Version 1
Material: NaV4Cd3O12
Method: DFT, PBE with a Hubbard U
State: relaxed

Output
Theoretical density, g/cm3: 5.663
Magnetization, μB/cell: 2.991

Cell and atoms, written as CIF:
```
data_NaV4Cd3O12
_cell_length_a 5.3542
_cell_length_b 5.4007
_cell_length_c 7.6669
_cell_angle_alpha 90.38
_cell_angle_beta 90.38
_cell_angle_gamma 90.33
_space_group_name_H-M_alt 'P 1'
_space_group_IT_number 1
loop_
_space_group_symop_operation_xyz
'x,y,z'
loop_
_atom_site_label
_atom_site_fract_x
_atom_site_fract_y
_atom_site_fract_z
Na1 0.0000 0.0000 0.0000
V1 0.4832 0.9666 0.2359
V2 0.4874 0.9678 0.7455
V3 0.9855 0.4650 0.2518
V4 0.9946 0.4677 0.7542
Cd1 0.4885 0.4995 0.0017
Cd2 0.4998 0.4309 0.4980
Cd3 0.9803 0.9328 0.4978
O1 0.0781 0.4875 0.4945
O2 0.1982 0.7398 0.7911
O3 0.2128 0.7632 0.2145
O4 0.2980 0.2566 0.2057
O5 0.2998 0.2474 0.8014
O6 0.3976 0.9980 0.5018
O7 0.5703 0.9413 0.0111
O8 0.6922 0.6842 0.7115
O9 0.6933 0.6808 0.3040
O10 0.7800 0.1698 0.2982
O11 0.7986 0.1842 0.7110
O12 0.9105 0.4530 0.0130
```

***

Version 2
Material: NaV4Cd3O12
Method: DFT, PBE with a Hubbard U
State: relaxed

Output
Theoretical density, g/cm3: 5.698
Magnetization, μB/cell: 3.000

Cell and atoms, written as CIF:
```
data_NaV4Cd3O12
_cell_length_a 5.3482
_cell_length_b 7.6468
_cell_length_c 5.3875
_cell_angle_alpha 90.00
_cell_angle_beta 90.46
_cell_angle_gamma 90.00
_space_group_name_H-M_alt 'P 1 m 1'
_space_group_IT_number 6
loop_
_space_group_symop_operation_xyz
'x,y,z'
'x,-y,z'
loop_
_atom_site_label
_atom_site_fract_x
_atom_site_fract_y
_atom_site_fract_z
Na1 0.0000 0.0000 0.0000
V1 0.0049 0.2468 0.5305
V2 0.5073 0.2447 0.0315
Cd1 0.0121 0.5000 0.0651
Cd2 0.4994 0.5000 0.5682
Cd3 0.5122 0.0000 0.5008
O1 0.0949 0.0000 0.5556
O2 0.2078 0.2919 0.8270
O3 0.3095 0.2916 0.3217
O4 0.4373 0.0000 0.0553
O5 0.5912 0.5000 0.0109
O6 0.7004 0.2063 0.7469
O7 0.8002 0.2122 0.2489
O8 0.9213 0.5000 0.5110
```

***

Relative energy of each structure, in eV/atom: version 1 0.000; version 2 0.017.

***

Version 1
Material: V3CdO7
Method: DFT, PBE with a Hubbard U
State: relaxed

Output
Theoretical density, g/cm3: 3.888
Magnetization, μB/cell: 11.999

Cell and atoms, written as CIF:
```
data_V3CdO7
_cell_length_a 11.3643
_cell_length_b 10.5290
_cell_length_c 5.3852
_cell_angle_alpha 90.00
_cell_angle_beta 90.00
_cell_angle_gamma 90.00
_space_group_name_H-M_alt 'P n m a'
_space_group_IT_number 62
loop_
_space_group_symop_operation_xyz
'x,y,z'
'-x,-y,-z'
'-x+1/2,-y,z+1/2'
'x+1/2,y,-z+1/2'
'x+1/2,-y+1/2,-z+1/2'
'-x+1/2,y+1/2,z+1/2'
'-x,y+1/2,-z'
'x,-y+1/2,z'
loop_
_atom_site_label
_atom_site_fract_x
_atom_site_fract_y
_atom_site_fract_z
V1 0.1780 0.2500 0.2305
V2 0.1937 0.5307 0.2253
Cd1 0.0631 0.2500 0.7277
O1 0.0324 0.2500 0.2710
O2 0.0563 0.5866 0.2506
O3 0.2039 0.1142 0.9784
O4 0.2216 0.1113 0.4560
```

***

Version 2
Material: V3CdO7
Method: DFT, PBE with a Hubbard U
State: relaxed

Output
Theoretical density, g/cm3: 4.180
Magnetization, μB/cell: 12.000

Cell and atoms, written as CIF:
```
data_V3CdO7
_cell_length_a 10.6538
_cell_length_b 10.4629
_cell_length_c 5.3771
_cell_angle_alpha 90.00
_cell_angle_beta 90.00
_cell_angle_gamma 90.00
_space_group_name_H-M_alt 'P n m a'
_space_group_IT_number 62
loop_
_space_group_symop_operation_xyz
'x,y,z'
'-x,-y,-z'
'-x+1/2,-y,z+1/2'
'x+1/2,y,-z+1/2'
'x+1/2,-y+1/2,-z+1/2'
'-x+1/2,y+1/2,z+1/2'
'-x,y+1/2,-z'
'x,-y+1/2,z'
loop_
_atom_site_label
_atom_site_fract_x
_atom_site_fract_y
_atom_site_fract_z
V1 0.1861 0.0236 0.2162
V2 0.2143 0.2500 0.7075
Cd1 0.0784 0.7500 0.6876
O1 0.0391 0.0770 0.2310
O2 0.0590 0.2500 0.6898
O3 0.2196 0.6183 0.9755
O4 0.2228 0.6192 0.4516
```

***

Relative energy of each structure, in eV/atom: version 1 0.055; version 2 0.000.

***

Version 1
Material: KCeEuWO6
Method: DFT, PBE with a Hubbard U
State: relaxed

Output
Theoretical density, g/cm3: 6.638
Magnetization, μB/cell: 24.000

Cell and atoms, written as CIF:
```
data_KCeEuWO6
_cell_length_a 8.4874
_cell_length_b 8.4874
_cell_length_c 8.4874
_cell_angle_alpha 90.00
_cell_angle_beta 90.00
_cell_angle_gamma 90.00
_space_group_name_H-M_alt 'F -4 3 m'
_space_group_IT_number 216
_space_group_name_Hall 'F -4 2 3'
loop_
_atom_site_label
_atom_site_fract_x
_atom_site_fract_y
_atom_site_fract_z
K1 0.0000 0.0000 0.0000
Ce1 0.2500 0.2500 0.2500
Eu1 0.0000 0.0000 0.5000
W1 0.2500 0.2500 0.7500
O1 0.0175 0.2500 0.7500
```

***

Version 2
Material: KCeEuWO6
Method: DFT, PBE with a Hubbard U
State: relaxed

Output
Theoretical density, g/cm3: 6.654
Magnetization, μB/cell: 4.919

Cell and atoms, written as CIF:
```
data_KCeEuWO6
_cell_length_a 8.4344
_cell_length_b 8.4815
_cell_length_c 8.5256
_cell_angle_alpha 90.00
_cell_angle_beta 90.00
_cell_angle_gamma 90.00
_space_group_name_H-M_alt 'P n n n'
_space_group_IT_number 48
loop_
_space_group_symop_operation_xyz
'x,y,z'
'-x,-y,-z'
'-x+1/2,-y+1/2,z'
'x+1/2,y+1/2,-z'
'x,-y+1/2,-z+1/2'
'-x,y+1/2,z+1/2'
'-x+1/2,y,-z+1/2'
'x+1/2,-y,z+1/2'
loop_
_atom_site_label
_atom_site_fract_x
_atom_site_fract_y
_atom_site_fract_z
K1 0.2500 0.2500 0.2500
K2 0.2500 0.7500 0.2500
Ce1 0.0000 0.0000 0.0000
Eu1 0.2500 0.2500 0.7500
Eu2 0.2500 0.7500 0.7500
W1 0.0000 0.0000 0.5000
O1 0.0242 0.2367 0.4705
O2 0.0438 0.0284 0.7354
O3 0.2279 0.5327 0.0195
```

***

Relative energy of each structure, in eV/atom: version 1 0.068; version 2 0.000.

***

Version 1
Material: Ce2FeSe2O2
Method: DFT, PBE with a Hubbard U
State: relaxed

Output
Theoretical density, g/cm3: 6.205
Magnetization, μB/cell: 1.850

Cell and atoms, written as CIF:
```
data_Ce2FeSe2O2
_cell_length_a 3.9681
_cell_length_b 16.4122
_cell_length_c 17.2901
_cell_angle_alpha 90.00
_cell_angle_beta 90.00
_cell_angle_gamma 90.00
_space_group_name_H-M_alt 'C m c 21'
_space_group_IT_number 36
loop_
_space_group_symop_operation_xyz
'x,y,z'
'-x,-y,z+1/2'
'-x,y,z'
'x,-y,z+1/2'
'x+1/2,y+1/2,z'
'-x+1/2,-y+1/2,z+1/2'
'-x+1/2,y+1/2,z'
'x+1/2,-y+1/2,z+1/2'
loop_
_atom_site_label
_atom_site_fract_x
_atom_site_fract_y
_atom_site_fract_z
Ce1 0.0000 0.0739 0.0000
Ce2 0.0000 0.0745 0.3355
Ce3 0.0000 0.2288 0.5083
Ce4 0.0000 0.2317 0.8272
Fe1 0.0000 0.3671 0.6666
Fe2 0.0000 0.4118 0.1937
Se1 0.0000 0.0056 0.1655
Se2 0.0000 0.2591 0.1659
Se3 0.0000 0.4204 0.3455
Se4 0.0000 0.4208 0.9840
O1 0.0000 0.2104 0.9615
O2 0.0000 0.2112 0.3716
O3 0.0000 0.3704 0.7818
O4 0.0000 0.3706 0.5518
```

***

Version 2
Material: Ce2FeSe2O2
Method: DFT, PBE with a Hubbard U
State: relaxed

Output
Theoretical density, g/cm3: 6.394
Magnetization, μB/cell: 12.002

Cell and atoms, written as CIF:
```
data_Ce2FeSe2O2
_cell_length_a 11.4404
_cell_length_b 3.9200
_cell_length_c 7.1585
_cell_angle_alpha 90.00
_cell_angle_beta 121.68
_cell_angle_gamma 90.00
_space_group_name_H-M_alt 'C 1 2/m 1'
_space_group_IT_number 12
loop_
_space_group_symop_operation_xyz
'x,y,z'
'-x,-y,-z'
'-x,y,-z'
'x,-y,z'
'x+1/2,y+1/2,z'
'-x+1/2,-y+1/2,-z'
'-x+1/2,y+1/2,-z'
'x+1/2,-y+1/2,z'
loop_
_atom_site_label
_atom_site_fract_x
_atom_site_fract_y
_atom_site_fract_z
Ce1 0.1911 0.0000 0.2418
Fe1 0.0000 0.0000 0.5000
Se1 0.0602 0.5000 0.8238
O1 0.1976 0.0000 0.5808
```

***

Relative energy of each structure, in eV/atom: version 1 0.144; version 2 0.000.

***

Version 1
Material: CeTlW2O8
Method: DFT, PBE with a Hubbard U
State: relaxed

Output
Theoretical density, g/cm3: 7.267
Magnetization, μB/cell: 4.001

Cell and atoms, written as CIF:
```
data_CeTlW2O8
_cell_length_a 11.3561
_cell_length_b 11.9479
_cell_length_c 7.6905
_cell_angle_alpha 90.00
_cell_angle_beta 132.61
_cell_angle_gamma 90.00
_space_group_name_H-M_alt 'C 1 2/m 1'
_space_group_IT_number 12
loop_
_space_group_symop_operation_xyz
'x,y,z'
'-x,-y,-z'
'-x,y,-z'
'x,-y,z'
'x+1/2,y+1/2,z'
'-x+1/2,-y+1/2,-z'
'-x+1/2,y+1/2,-z'
'x+1/2,-y+1/2,z'
loop_
_atom_site_label
_atom_site_fract_x
_atom_site_fract_y
_atom_site_fract_z
Ce1 0.2336 0.0000 0.4134
Tl1 0.0000 0.2198 0.5000
W1 0.0000 0.3444 0.0000
W2 0.2425 0.5000 0.9829
O1 0.0198 0.5000 0.2035
O2 0.0376 0.0000 0.7776
O3 0.0670 0.2521 0.2347
O4 0.2161 0.3936 0.7783
O5 0.2165 0.3863 0.1490
```

***

Version 2
Material: CeTlW2O8
Method: DFT, PBE with a Hubbard U
State: relaxed

Output
Theoretical density, g/cm3: 8.060
Magnetization, μB/cell: 4.000

Cell and atoms, written as CIF:
```
data_CeTlW2O8
_cell_length_a 10.9823
_cell_length_b 10.9273
_cell_length_c 7.4680
_cell_angle_alpha 90.00
_cell_angle_beta 129.42
_cell_angle_gamma 90.00
_space_group_name_H-M_alt 'C 1 2/c 1'
_space_group_IT_number 15
loop_
_space_group_symop_operation_xyz
'x,y,z'
'-x,-y,-z'
'-x,y,-z+1/2'
'x,-y,z+1/2'
'x+1/2,y+1/2,z'
'-x+1/2,-y+1/2,-z'
'-x+1/2,y+1/2,-z+1/2'
'x+1/2,-y+1/2,z+1/2'
loop_
_atom_site_label
_atom_site_fract_x
_atom_site_fract_y
_atom_site_fract_z
Ce1 0.0000 0.2235 0.2500
Tl1 0.0000 0.2044 0.7500
W1 0.1934 0.4933 0.2158
O1 0.0219 0.3930 0.4712
O2 0.1314 0.0835 0.1868
O3 0.1873 0.4351 0.9431
O4 0.2249 0.1568 0.6308
```

***

Relative energy of each structure, in eV/atom: version 1 0.134; version 2 0.000.

***

Version 1
Material: CoH8Se2Cl2O8
Method: DFT, PBE with a Hubbard U
State: relaxed

Output
Theoretical density, g/cm3: 2.774
Magnetization, μB/cell: 2.001

Cell and atoms, written as CIF:
```
data_CoH8Se2Cl2O8
_cell_length_a 5.1743
_cell_length_b 14.9706
_cell_length_c 6.5604
_cell_angle_alpha 90.00
_cell_angle_beta 93.15
_cell_angle_gamma 90.00
_space_group_name_H-M_alt 'P 1 21/c 1'
_space_group_IT_number 14
loop_
_space_group_symop_operation_xyz
'x,y,z'
'-x,-y,-z'
'-x,y+1/2,-z+1/2'
'x,-y+1/2,z+1/2'
loop_
_atom_site_label
_atom_site_fract_x
_atom_site_fract_y
_atom_site_fract_z
Co1 0.0000 0.0000 0.0000
H1 0.0834 0.1966 0.2139
H2 0.2271 0.5563 0.1523
H3 0.2927 0.7304 0.6663
H4 0.4231 0.5785 0.3396
Se1 0.2929 0.1690 0.7923
Cl1 0.2375 0.5582 0.8036
O1 0.0464 0.2448 0.3132
O2 0.2374 0.1161 0.0145
O3 0.2395 0.5676 0.3007
O4 0.4654 0.7451 0.6141
```

***

Version 2
Material: CoH8Se2Cl2O8
Method: DFT, PBE with a Hubbard U
State: relaxed

Output
Theoretical density, g/cm3: 2.104
Magnetization, μB/cell: 6.000

Cell and atoms, written as CIF:
```
data_CoH8Se2Cl2O8
_cell_length_a 5.1997
_cell_length_b 18.0690
_cell_length_c 7.2385
_cell_angle_alpha 90.00
_cell_angle_beta 100.41
_cell_angle_gamma 90.00
_space_group_name_H-M_alt 'P 1 21/c 1'
_space_group_IT_number 14
loop_
_space_group_symop_operation_xyz
'x,y,z'
'-x,-y,-z'
'-x,y+1/2,-z+1/2'
'x,-y+1/2,z+1/2'
loop_
_atom_site_label
_atom_site_fract_x
_atom_site_fract_y
_atom_site_fract_z
Co1 0.0000 0.0000 0.0000
H1 0.1376 0.1506 0.7098
H2 0.2223 0.1179 0.1352
H3 0.2461 0.5418 0.1478
H4 0.4707 0.0775 0.0665
Se1 0.3504 0.1943 0.6395
Cl1 0.4198 0.5850 0.8583
O1 0.1061 0.5612 0.2087
O2 0.2100 0.2114 0.4182
O3 0.2376 0.5667 0.4088
O4 0.2709 0.0876 0.0349
```

***

Relative energy of each structure, in eV/atom: version 1 0.000; version 2 0.376.